## Li4Mn3NbFe2P6O24 (GGA+U)

Data for a relaxed structure of Li4Mn3NbFe2P6O24.

Unit cell a=8.5626 b=8.6538 c=8.6594 alpha=63.46 beta=63.92 gamma=63.61
Sites, in units of the cell vectors:
Li 0.0000 0.0000 0.0000
Li 0.1021 0.9401 0.4897
Li 0.2083 0.4424 0.3483
Li 0.5580 0.6472 0.7924
Mn 0.1943 0.6338 0.9837
Mn 0.5004 0.9451 0.2853
Mn 0.6987 0.1410 0.4862
Nb 0.9998 0.4442 0.7937
Fe 0.3592 0.7927 0.1356
Fe 0.8346 0.2975 0.6374
P 0.1017 0.2353 0.2039
P 0.2859 0.0416 0.6919
P 0.4128 0.5444 0.5821
P 0.6017 0.3492 0.0863
P 0.7905 0.8570 0.8936
P 0.9163 0.7437 0.3937
O 0.0326 0.2888 0.0396
O 0.0896 0.1954 0.7312
O 0.1033 0.7177 0.2372
O 0.1737 0.3831 0.1731
O 0.2428 0.0431 0.2121
O 0.2485 0.4694 0.6427
O 0.2774 0.8912 0.8828
O 0.2885 0.9843 0.5469
O 0.3833 0.6136 0.7314
O 0.3954 0.6983 0.4021
O 0.4437 0.1098 0.6337
O 0.4493 0.5411 0.0669
O 0.5417 0.1968 0.1123
O 0.5984 0.3942 0.5629
O 0.6009 0.8598 0.0348
O 0.6803 0.3102 0.2299
O 0.7480 0.7905 0.3450
O 0.7492 0.3847 0.8854
O 0.7897 0.0341 0.7327
O 0.8486 0.6894 0.8259
O 0.9060 0.8829 0.4635
O 0.9375 0.8231 0.9711
O 0.9402 0.5441 0.5417
O 0.9540 0.2145 0.3915

## Properties
Electronic total energy: -0.264 hartree per atom
Crystal system: triclinic
Formation energy from the elements: -2.51 eV/atom
Total magnetic moment: 24.000 μB per cell

=====

## PrEuMnWO6 (GGA+U)

Data for a relaxed structure of PrEuMnWO6.

Unit cell a=5.7573 b=5.7573 c=5.7573 alpha=60.00 beta=60.00 gamma=60.00
Sites, in units of the cell vectors:
Pr 0.0000 0.0000 0.0000
Eu 0.5000 0.5000 0.5000
Mn 0.7500 0.7500 0.7500
W 0.2500 0.2500 0.2500
O 0.0067 0.0067 0.4933
O 0.0067 0.4933 0.0067
O 0.0067 0.4933 0.4933
O 0.4933 0.0067 0.0067
O 0.4933 0.0067 0.4933
O 0.4933 0.4933 0.0067

## Properties
Electronic total energy: -0.304 hartree per atom
Crystal system: cubic
Formation energy from the elements: -2.60 eV/atom
Total magnetic moment: 13.000 μB per cell

=====

## Cr2CuO4 (GGA+U)

Data for a relaxed structure of Cr2CuO4.

Unit cell a=5.9263 b=5.9263 c=5.9263 alpha=118.41 beta=118.41 gamma=92.77
Sites, in units of the cell vectors:
Cr 0.0000 0.0000 0.0000
Cr 0.0000 0.0000 0.5000
Cr 0.0000 0.5000 0.0000
Cr 0.5000 0.0000 0.5000
Cu 0.3750 0.6250 0.7500
Cu 0.6250 0.3750 0.2500
O 0.2149 0.2455 0.9694
O 0.2239 0.7545 0.4694
O 0.2455 0.2149 0.4694
O 0.2455 0.7761 0.0306
O 0.7545 0.2239 0.9694
O 0.7545 0.7851 0.5306
O 0.7761 0.2455 0.5306
O 0.7851 0.7545 0.0306

## Properties
Electronic total energy: -0.263 hartree per atom
Excess energy over the best structure of this formula in the dataset: 0.001 eV per atom
Crystal system: tetragonal
Formation energy from the elements: -1.94 eV/atom
Total magnetic moment: 10.001 μB per cell

=====

## Li3AlFe2O6 (GGA+U)

Data for a relaxed structure of Li3AlFe2O6.

Unit cell a=5.9468 b=10.3486 c=10.0907 alpha=90.00 beta=125.50 gamma=90.00
Sites, in units of the cell vectors:
Li 0.0212 0.0022 0.3639
Li 0.0212 0.4978 0.8639
Li 0.0569 0.1580 0.8761
Li 0.0569 0.3420 0.3761
Li 0.4647 0.5029 0.6161
Li 0.4647 0.9971 0.1161
Li 0.5353 0.0029 0.8839
Li 0.5353 0.4971 0.3839
Li 0.9431 0.6580 0.6239
Li 0.9431 0.8420 0.1239
Li 0.9788 0.5022 0.1361
Li 0.9788 0.9978 0.6361
Al 0.4606 0.1675 0.6265
Al 0.4606 0.3325 0.1265
Al 0.5394 0.6675 0.8735
Al 0.5394 0.8325 0.3735
Fe 0.0491 0.6662 0.3786
Fe 0.0491 0.8338 0.8786
Fe 0.4527 0.6535 0.1269
Fe 0.4527 0.8465 0.6269
Fe 0.5473 0.1535 0.3731
Fe 0.5473 0.3465 0.8731
Fe 0.9509 0.1662 0.1214
Fe 0.9509 0.3338 0.6214
O 0.1966 0.5123 0.3765
O 0.1966 0.9877 0.8765
O 0.2321 0.1695 0.3835
O 0.2321 0.3305 0.8835
O 0.2338 0.6718 0.8806
O 0.2338 0.8282 0.3806
O 0.2924 0.6830 0.6331
O 0.2924 0.8170 0.1331
O 0.2956 0.1819 0.1292
O 0.2956 0.3181 0.6292
O 0.3186 0.0146 0.6289
O 0.3186 0.4854 0.1289
O 0.6814 0.5146 0.8711
O 0.6814 0.9854 0.3711
O 0.7044 0.6819 0.3708
O 0.7044 0.8181 0.8708
O 0.7076 0.1830 0.8669
O 0.7076 0.3170 0.3669
O 0.7662 0.1718 0.6194
O 0.7662 0.3282 0.1194
O 0.7679 0.6695 0.1165
O 0.7679 0.8305 0.6165
O 0.8034 0.0123 0.1235
O 0.8034 0.4877 0.6235

## Properties
Electronic total energy: -0.228 hartree per atom
Excess energy over the best structure of this formula in the dataset: 0.019 eV per atom
Crystal system: monoclinic
Formation energy from the elements: -2.26 eV/atom
Total magnetic moment: 39.997 μB per cell

=====

## Ca2MnNb2O8 (GGA+U)

Data for a relaxed structure of Ca2MnNb2O8.

Unit cell a=10.1973 b=10.1973 c=5.5366 alpha=91.82 beta=91.82 gamma=36.35
Sites, in units of the cell vectors:
Ca 0.0232 0.3903 0.2430
Ca 0.3903 0.0232 0.7430
Ca 0.6097 0.9768 0.2570
Ca 0.9768 0.6097 0.7570
Mn 0.1519 0.8481 0.7500
Mn 0.8481 0.1519 0.2500
Nb 0.2337 0.5380 0.2462
Nb 0.4620 0.7663 0.2538
Nb 0.5380 0.2337 0.7462
Nb 0.7663 0.4620 0.7538
O 0.0390 0.3292 0.8446
O 0.0919 0.7908 0.4098
O 0.2092 0.9081 0.0902
O 0.2562 0.3768 0.4973
O 0.3049 0.5503 0.9159
O 0.3292 0.0390 0.3446
O 0.3768 0.2562 0.9973
O 0.4497 0.6951 0.5841
O 0.5503 0.3049 0.4159
O 0.6232 0.7438 0.0027
O 0.6708 0.9610 0.6554
O 0.6951 0.4497 0.0841
O 0.7438 0.6232 0.5027
O 0.7908 0.0919 0.9098
O 0.9081 0.2092 0.5902
O 0.9610 0.6708 0.1554

## Properties
Electronic total energy: -0.298 hartree per atom
Crystal system: monoclinic
Formation energy from the elements: -3.03 eV/atom
Total magnetic moment: 10.002 μB per cell

=====

## Li4Cr2Fe3Sb3O16 (GGA+U)

Data for a relaxed structure of Li4Cr2Fe3Sb3O16.

Unit cell a=6.1198 b=6.1463 c=9.7115 alpha=91.35 beta=90.45 gamma=119.34
Sites, in units of the cell vectors:
Li 0.0000 0.0000 0.0000
Li 0.0016 0.0085 0.5178
Li 0.3295 0.6557 0.6224
Li 0.6628 0.3303 0.1008
Cr 0.3081 0.6332 0.0093
Cr 0.6428 0.2875 0.5280
Fe 0.1550 0.3155 0.2887
Fe 0.3220 0.1455 0.7918
Fe 0.8141 0.1450 0.7915
Sb 0.1559 0.8105 0.2894
Sb 0.6486 0.8097 0.2886
Sb 0.8130 0.6337 0.7902
O 0.0282 0.5142 0.1626
O 0.1371 0.7985 0.9059
O 0.1433 0.3098 0.9073
O 0.3059 0.1250 0.4046
O 0.3319 0.6653 0.4030
O 0.4671 0.9471 0.1655
O 0.4808 0.5143 0.1619
O 0.5159 0.0218 0.6601
O 0.5204 0.4695 0.6540
O 0.6522 0.8062 0.9044
O 0.6711 0.3280 0.9020
O 0.8124 0.1250 0.4026
O 0.8307 0.6612 0.3997
O 0.9455 0.4557 0.6588
O 0.9661 0.9585 0.6972
O 0.9761 0.9614 0.1855

## Properties
Electronic total energy: -0.234 hartree per atom
Crystal system: triclinic
Formation energy from the elements: -2.01 eV/atom
Total magnetic moment: 18.998 μB per cell

=====

## Li2Cr3SbO8 (GGA+U)

Data for a relaxed structure of Li2Cr3SbO8.

Unit cell a=8.5408 b=8.5408 c=8.5408 alpha=90.00 beta=90.00 gamma=90.00
Sites, in units of the cell vectors:
Li 0.0031 0.4969 0.5031
Li 0.2469 0.7469 0.7531
Li 0.2531 0.2531 0.2531
Li 0.4969 0.5031 0.0031
Li 0.5031 0.0031 0.4969
Li 0.7469 0.7531 0.2469
Li 0.7531 0.2469 0.7469
Li 0.9969 0.9969 0.9969
Cr 0.1205 0.1295 0.6250
Cr 0.1250 0.3795 0.8705
Cr 0.1295 0.6250 0.1205
Cr 0.3705 0.3750 0.6205
Cr 0.3750 0.6205 0.3705
Cr 0.3795 0.8705 0.1250
Cr 0.6205 0.3705 0.3750
Cr 0.6250 0.1205 0.1295
Cr 0.6295 0.8750 0.8795
Cr 0.8705 0.1250 0.3795
Cr 0.8750 0.8795 0.6295
Cr 0.8795 0.6295 0.8750
Sb 0.1250 0.8750 0.3750
Sb 0.3750 0.1250 0.8750
Sb 0.6250 0.6250 0.6250
Sb 0.8750 0.3750 0.1250
O 0.1115 0.3865 0.1126
O 0.1122 0.6122 0.8878
O 0.1126 0.1115 0.3865
O 0.1135 0.8874 0.6115
O 0.1365 0.6385 0.3626
O 0.1374 0.8635 0.1385
O 0.1385 0.1374 0.8635
O 0.1378 0.3622 0.6378
O 0.3622 0.6378 0.1378
O 0.3615 0.8626 0.3635
O 0.3626 0.1365 0.6385
O 0.3635 0.3615 0.8626
O 0.3865 0.1126 0.1115
O 0.3874 0.8885 0.8865
O 0.3878 0.3878 0.3878
O 0.3885 0.6135 0.6126
O 0.6115 0.1135 0.8874
O 0.6122 0.8878 0.1122
O 0.6126 0.3885 0.6135
O 0.6135 0.6126 0.3885
O 0.6374 0.6365 0.8615
O 0.6365 0.8615 0.6374
O 0.6378 0.1378 0.3622
O 0.6385 0.3626 0.1365
O 0.8615 0.6374 0.6365
O 0.8622 0.8622 0.8622
O 0.8635 0.1385 0.1374
O 0.8626 0.3635 0.3615
O 0.8865 0.3874 0.8885
O 0.8874 0.6115 0.1135
O 0.8878 0.1122 0.6122
O 0.8885 0.8865 0.3874

## Properties
Electronic total energy: -0.256 hartree per atom
Excess energy over the best structure of this formula in the dataset: 0.000 eV per atom
Crystal system: cubic
Formation energy from the elements: -2.33 eV/atom
Total magnetic moment: 36.002 μB per cell

=====

## Li3Mn4B4O12 (GGA+U)

Data for a relaxed structure of Li3Mn4B4O12.

Unit cell a=6.1615 b=9.1186 c=9.6945 alpha=79.65 beta=80.20 gamma=72.17
Sites, in units of the cell vectors:
Li 0.0257 0.3704 0.2819
Li 0.2160 0.1315 0.4646
Li 0.2987 0.8524 0.0378
Li 0.7013 0.1476 0.9622
Li 0.7840 0.8685 0.5354
Li 0.9743 0.6296 0.7181
Mn 0.0343 0.9577 0.7251
Mn 0.2248 0.5433 0.0248
Mn 0.2845 0.4548 0.4636
Mn 0.4689 0.0649 0.7726
Mn 0.5311 0.9351 0.2274
Mn 0.7155 0.5452 0.5364
Mn 0.7752 0.4567 0.9752
Mn 0.9657 0.0423 0.2749
B 0.0166 0.2890 0.7229
B 0.2223 0.2113 0.0294
B 0.2662 0.7853 0.4838
B 0.4929 0.7233 0.7835
B 0.5071 0.2767 0.2165
B 0.7338 0.2147 0.5162
B 0.7777 0.7887 0.9706
B 0.9834 0.7110 0.2771
O 0.0143 0.4332 0.6386
O 0.0724 0.3523 0.0784
O 0.1005 0.7824 0.5985
O 0.1140 0.7220 0.1498
O 0.1585 0.1554 0.6661
O 0.2152 0.0683 0.1090
O 0.2808 0.9254 0.4032
O 0.3454 0.8625 0.8240
O 0.3547 0.2779 0.3390
O 0.3804 0.2212 0.9148
O 0.4133 0.6445 0.4461
O 0.4905 0.5867 0.8741
O 0.5095 0.4133 0.1259
O 0.5867 0.3555 0.5539
O 0.6196 0.7788 0.0852
O 0.6453 0.7220 0.6610
O 0.6546 0.1375 0.1760
O 0.7192 0.0746 0.5968
O 0.7848 0.9317 0.8910
O 0.8415 0.8446 0.3339
O 0.8860 0.2780 0.8502
O 0.8995 0.2176 0.4015
O 0.9276 0.6477 0.9216
O 0.9857 0.5668 0.3614

## Properties
Electronic total energy: -0.272 hartree per atom
Excess energy over the best structure of this formula in the dataset: 0.011 eV per atom
Crystal system: triclinic
Formation energy from the elements: -2.46 eV/atom
Total magnetic moment: 38.002 μB per cell

=====

## HoFeGe2O7 (GGA+U)

Data for a relaxed structure of HoFeGe2O7.

Unit cell a=6.9296 b=6.9296 c=6.7295 alpha=110.87 beta=110.87 gamma=77.18
Sites, in units of the cell vectors:
Ho 0.2073 0.7927 0.0000
Ho 0.7927 0.2073 0.0000
Fe 0.3051 0.6949 0.5000
Fe 0.6949 0.3051 0.5000
Ge 0.2182 0.2182 0.5144
Ge 0.3015 0.3015 0.0727
Ge 0.6985 0.6985 0.9273
Ge 0.7818 0.7818 0.4856
O 0.0545 0.7244 0.5999
O 0.1305 0.1305 0.0331
O 0.2120 0.5678 0.1695
O 0.2756 0.9455 0.4001
O 0.3148 0.3148 0.8119
O 0.3671 0.3671 0.4625
O 0.4322 0.7880 0.8305
O 0.5678 0.2120 0.1695
O 0.6329 0.6329 0.5375
O 0.6852 0.6852 0.1881
O 0.7244 0.0545 0.5999
O 0.7880 0.4322 0.8305
O 0.8695 0.8695 0.9669
O 0.9455 0.2756 0.4001

## Properties
Electronic total energy: -0.250 hartree per atom
Crystal system: monoclinic
Formation energy from the elements: -2.27 eV/atom
Total magnetic moment: 2.000 μB per cell

=====

## NaCr2O4 (GGA+U)

Data for a relaxed structure of NaCr2O4.

Unit cell a=5.9482 b=11.3875 c=5.0942 alpha=90.00 beta=90.00 gamma=90.00
Sites, in units of the cell vectors:
Na 0.2500 0.2500 0.0298
Na 0.2500 0.7500 0.3556
Na 0.7500 0.2500 0.6444
Na 0.7500 0.7500 0.9702
Cr 0.0000 0.0000 0.5000
Cr 0.0000 0.5000 0.5000
Cr 0.2500 0.5061 0.9968
Cr 0.2500 0.9939 0.9968
Cr 0.5000 0.0000 0.5000
Cr 0.5000 0.5000 0.5000
Cr 0.7500 0.0061 0.0032
Cr 0.7500 0.4939 0.0032
O 0.0021 0.0916 0.8406
O 0.0021 0.4084 0.8406
O 0.2500 0.0836 0.3158
O 0.2500 0.4164 0.3158
O 0.2500 0.5896 0.6719
O 0.2500 0.9104 0.6719
O 0.4979 0.0916 0.8406
O 0.4979 0.4084 0.8406
O 0.5021 0.5916 0.1594
O 0.5021 0.9084 0.1594
O 0.7500 0.0896 0.3281
O 0.7500 0.4104 0.3281
O 0.7500 0.5836 0.6842
O 0.7500 0.9164 0.6842
O 0.9979 0.5916 0.1594
O 0.9979 0.9084 0.1594

## Properties
Electronic total energy: -0.256 hartree per atom
Excess energy over the best structure of this formula in the dataset: 0.025 eV per atom
Crystal system: orthorhombic
Formation energy from the elements: -2.16 eV/atom
Total magnetic moment: 4.000 μB per cell

=====

## Ba4MgFe4O10 (GGA+U)

Data for a relaxed structure of Ba4MgFe4O10.

Unit cell a=6.1807 b=6.4154 c=9.0603 alpha=107.78 beta=106.46 gamma=90.47
Sites, in units of the cell vectors:
Ba 0.0000 0.0000 0.0000
Ba 0.1369 0.1928 0.5130
Ba 0.5263 0.5150 0.9967
Ba 0.7341 0.6569 0.5252
Mg 0.9918 0.4570 0.8504
Fe 0.1084 0.5417 0.2738
Fe 0.3301 0.8834 0.7665
Fe 0.5834 0.1513 0.2376
Fe 0.6478 0.1552 0.6275
O 0.0117 0.6091 0.0781
O 0.1166 0.6448 0.7567
O 0.1615 0.1923 0.8128
O 0.1654 0.7713 0.4670
O 0.3556 0.3504 0.2756
O 0.4878 0.9348 0.0395
O 0.6338 0.9764 0.7559
O 0.6594 0.4561 0.7362
O 0.6893 0.0387 0.4166
O 0.8510 0.3370 0.2574

## Properties
Electronic total energy: -0.231 hartree per atom
Excess energy over the best structure of this formula in the dataset: 0.009 eV per atom
Crystal system: triclinic
Formation energy from the elements: -2.24 eV/atom
Total magnetic moment: 18.000 μB per cell

=====

## SrVSnWO6 (GGA+U)

Data for a relaxed structure of SrVSnWO6.

Unit cell a=5.7174 b=5.7174 c=5.7174 alpha=60.00 beta=60.00 gamma=60.00
Sites, in units of the cell vectors:
Sr 0.0000 0.0000 0.0000
V 0.7500 0.7500 0.7500
Sn 0.5000 0.5000 0.5000
W 0.2500 0.2500 0.2500
O 0.0079 0.0079 0.4921
O 0.0079 0.4921 0.0079
O 0.0079 0.4921 0.4921
O 0.4921 0.0079 0.0079
O 0.4921 0.0079 0.4921
O 0.4921 0.4921 0.0079

## Properties
Electronic total energy: -0.258 hartree per atom
Crystal system: cubic
Formation energy from the elements: -2.31 eV/atom
Total magnetic moment: 3.000 μB per cell

=====

Question: Which value of formation energy from the elements does entry 1 give?
Answer: -2.51 eV/atom

=====

Question: Which formula does entry 7 have?
Answer: Li2Cr3SbO8